Record 1
Material: B3Pb6ClO10
Method: DFT, r²SCAN
State: optimized geometry

Summary:
SG: Pbcm, No. 57
ρ, g/cm3: 7.25

abc: 7.058 17.299 11.032
angles: 90.00 90.00 90.00
Sites, in units of the cell vectors:
B: 0.204 0.225 0.250
B: 0.204 0.275 0.750
B: 0.221 0.003 0.503
B: 0.221 0.003 0.997
B: 0.221 0.497 0.003
B: 0.221 0.497 0.497
B: 0.779 0.503 0.503
B: 0.779 0.503 0.997
B: 0.779 0.997 0.003
B: 0.779 0.997 0.497
B: 0.796 0.725 0.250
B: 0.796 0.775 0.750
Pb: 0.030 0.656 0.064
Pb: 0.030 0.656 0.436
Pb: 0.030 0.844 0.564
Pb: 0.030 0.844 0.936
Pb: 0.087 0.063 0.750
Pb: 0.087 0.437 0.250
Pb: 0.427 0.028 0.250
Pb: 0.427 0.472 0.750
Pb: 0.475 0.161 0.580
Pb: 0.475 0.161 0.920
Pb: 0.475 0.339 0.080
Pb: 0.475 0.339 0.420
Pb: 0.525 0.661 0.580
Pb: 0.525 0.661 0.920
Pb: 0.525 0.839 0.080
Pb: 0.525 0.839 0.420
Pb: 0.573 0.528 0.250
Pb: 0.573 0.972 0.750
Pb: 0.913 0.563 0.750
Pb: 0.913 0.937 0.250
Pb: 0.970 0.156 0.064
Pb: 0.970 0.156 0.436
Pb: 0.970 0.344 0.564
Pb: 0.970 0.344 0.936
Cl: 0.299 0.738 0.250
Cl: 0.299 0.762 0.750
Cl: 0.701 0.238 0.250
Cl: 0.701 0.262 0.750
O: 0.113 0.151 0.250
O: 0.113 0.349 0.750
O: 0.164 0.534 0.108
O: 0.164 0.534 0.392
O: 0.164 0.966 0.608
O: 0.164 0.966 0.892
O: 0.225 0.084 0.505
O: 0.225 0.084 0.995
O: 0.225 0.416 0.005
O: 0.225 0.416 0.495
O: 0.234 0.243 0.639
O: 0.234 0.243 0.861
O: 0.234 0.257 0.139
O: 0.234 0.257 0.361
O: 0.270 0.537 0.599
O: 0.270 0.537 0.901
O: 0.270 0.963 0.099
O: 0.270 0.963 0.401
O: 0.414 0.091 0.750
O: 0.414 0.409 0.250
O: 0.586 0.591 0.750
O: 0.586 0.909 0.250
O: 0.730 0.037 0.599
O: 0.730 0.037 0.901
O: 0.730 0.463 0.099
O: 0.730 0.463 0.401
O: 0.766 0.743 0.639
O: 0.766 0.743 0.861
O: 0.766 0.757 0.139
O: 0.766 0.757 0.361
O: 0.775 0.584 0.505
O: 0.775 0.584 0.995
O: 0.775 0.916 0.005
O: 0.775 0.916 0.495
O: 0.836 0.034 0.108
O: 0.836 0.034 0.392
O: 0.836 0.466 0.608
O: 0.836 0.466 0.892
O: 0.887 0.651 0.250
O: 0.887 0.849 0.750

Record 2
Material: Pr8B7Cl7
Method: DFT, r²SCAN
State: optimized geometry

Summary:
SG: P-1, No. 2
ρ, g/cm3: 5.26

abc: 7.784 9.170 14.358
angles: 91.38 97.85 115.11
Sites, in units of the cell vectors:
Pr: 0.017 0.160 0.300
Pr: 0.102 0.720 0.466
Pr: 0.214 0.582 0.244
Pr: 0.222 0.730 0.925
Pr: 0.262 0.419 0.757
Pr: 0.288 0.283 0.084
Pr: 0.406 0.295 0.532
Pr: 0.457 0.840 0.700
Pr: 0.543 0.160 0.300
Pr: 0.594 0.705 0.468
Pr: 0.712 0.717 0.916
Pr: 0.738 0.581 0.243
Pr: 0.778 0.270 0.075
Pr: 0.786 0.418 0.756
Pr: 0.898 0.280 0.534
Pr: 0.983 0.840 0.700
B: 0.073 0.579 0.633
B: 0.135 0.643 0.752
B: 0.174 0.462 0.432
B: 0.246 0.538 0.568
B: 0.325 0.422 0.374
B: 0.378 0.372 0.267
B: 0.466 0.577 0.626
B: 0.534 0.423 0.374
B: 0.622 0.628 0.733
B: 0.675 0.578 0.626
B: 0.754 0.462 0.432
B: 0.826 0.538 0.568
B: 0.865 0.357 0.248
B: 0.927 0.421 0.367
Cl: 0.000 0.000 0.500
Cl: 0.046 0.367 0.932
Cl: 0.081 0.972 0.897
Cl: 0.137 0.881 0.288
Cl: 0.369 0.134 0.709
Cl: 0.409 0.026 0.103
Cl: 0.469 0.641 0.070
Cl: 0.500 0.000 0.500
Cl: 0.531 0.359 0.930
Cl: 0.591 0.974 0.897
Cl: 0.631 0.866 0.291
Cl: 0.863 0.119 0.712
Cl: 0.919 0.028 0.103
Cl: 0.954 0.633 0.068

Record 3
Material: Sc7BCl12
Method: DFT, r²SCAN
State: optimized geometry

Summary:
SG: R-3, No. 148
ρ, g/cm3: 2.81

abc: 8.140 8.140 8.140
angles: 107.40 107.40 107.40
Sites, in units of the cell vectors:
Sc: 0.000 0.000 0.000
Sc: 0.189 0.396 0.471
Sc: 0.396 0.471 0.189
Sc: 0.471 0.189 0.396
Sc: 0.529 0.811 0.604
Sc: 0.604 0.529 0.811
Sc: 0.811 0.604 0.529
B: 0.500 0.500 0.500
Cl: 0.037 0.343 0.116
Cl: 0.116 0.037 0.343
Cl: 0.184 0.724 0.576
Cl: 0.276 0.424 0.816
Cl: 0.343 0.116 0.037
Cl: 0.424 0.816 0.276
Cl: 0.576 0.184 0.724
Cl: 0.657 0.884 0.963
Cl: 0.724 0.576 0.184
Cl: 0.816 0.276 0.424
Cl: 0.884 0.963 0.657
Cl: 0.963 0.657 0.884

Record 4
Material: Tb3BCl3
Method: DFT, r²SCAN
State: optimized geometry

Summary:
SG: I4_132, No. 214
ρ, g/cm3: 6.09

abc: 9.443 9.443 9.443
angles: 109.47 109.47 109.47
Sites, in units of the cell vectors:
Tb: 0.015 0.029 0.265
Tb: 0.015 0.485 0.750
Tb: 0.029 0.265 0.015
Tb: 0.235 0.265 0.750
Tb: 0.235 0.471 0.485
Tb: 0.265 0.015 0.029
Tb: 0.265 0.750 0.235
Tb: 0.471 0.485 0.235
Tb: 0.485 0.235 0.471
Tb: 0.485 0.750 0.015
Tb: 0.750 0.015 0.485
Tb: 0.750 0.235 0.265
B: 0.000 0.250 0.500
B: 0.250 0.250 0.250
B: 0.250 0.500 0.000
B: 0.500 0.000 0.250
Cl: 0.250 0.756 0.744
Cl: 0.250 0.994 0.506
Cl: 0.506 0.250 0.994
Cl: 0.506 0.756 0.512
Cl: 0.512 0.506 0.756
Cl: 0.744 0.250 0.756
Cl: 0.744 0.994 0.988
Cl: 0.756 0.512 0.506
Cl: 0.756 0.744 0.250
Cl: 0.988 0.744 0.994
Cl: 0.994 0.506 0.250
Cl: 0.994 0.988 0.744

Record 5
Material: CoB
Method: DFT, r²SCAN
State: optimized geometry

Summary:
SG: Pnma, No. 62
ρ, g/cm3: 7.65

abc: 5.109 3.047 3.888
angles: 90.00 90.00 90.00
Sites, in units of the cell vectors:
Co: 0.177 0.250 0.128
Co: 0.323 0.750 0.628
Co: 0.677 0.250 0.372
Co: 0.823 0.750 0.872
B: 0.032 0.250 0.625
B: 0.468 0.750 0.125
B: 0.532 0.250 0.875
B: 0.968 0.750 0.375

Record 6
Material: ErCo2B2
Method: DFT, r²SCAN
State: optimized geometry

Summary:
SG: I4/mmm, No. 139
ρ, g/cm3: 8.94

abc: 5.231 5.231 5.231
angles: 140.70 140.70 56.79
Sites, in units of the cell vectors:
Er: 0.000 0.000 0.000
Co: 0.250 0.750 0.500
Co: 0.750 0.250 0.500
B: 0.350 0.350 0.000
B: 0.650 0.650 0.000

Record 7
Material: ErCo3B2
Method: DFT, r²SCAN
State: optimized geometry

Summary:
SG: P6/mmm, No. 191
ρ, g/cm3: 9.64

abc: 4.952 4.952 2.968
angles: 90.00 90.00 120.00
Sites, in units of the cell vectors:
Er: 0.000 0.000 0.000
Co: 0.000 0.500 0.500
Co: 0.500 0.000 0.500
Co: 0.500 0.500 0.500
B: 0.333 0.667 0.000
B: 0.667 0.333 0.000

Record 8
Material: GdCoB4
Method: DFT, r²SCAN
State: optimized geometry

Summary:
SG: Pbam, No. 55
ρ, g/cm3: 7.41

abc: 5.921 11.472 3.425
angles: 90.00 90.00 90.00
Sites, in units of the cell vectors:
Gd: 0.127 0.150 0.000
Gd: 0.373 0.650 0.000
Gd: 0.627 0.350 0.000
Gd: 0.873 0.850 0.000
Co: 0.133 0.412 0.000
Co: 0.367 0.912 0.000
Co: 0.633 0.088 0.000
Co: 0.867 0.588 0.000
B: 0.021 0.689 0.500
B: 0.112 0.546 0.500
B: 0.141 0.967 0.500
B: 0.218 0.817 0.500
B: 0.282 0.317 0.500
B: 0.359 0.467 0.500
B: 0.388 0.046 0.500
B: 0.479 0.189 0.500
B: 0.521 0.811 0.500
B: 0.612 0.954 0.500
B: 0.641 0.533 0.500
B: 0.718 0.683 0.500
B: 0.782 0.183 0.500
B: 0.859 0.033 0.500
B: 0.888 0.454 0.500
B: 0.979 0.311 0.500

Record 9
Material: Gd3Co11B4
Method: DFT, r²SCAN
State: optimized geometry

Summary:
SG: Cmmm, No. 65
ρ, g/cm3: 8.99

abc: 5.068 5.068 9.686
angles: 90.00 90.00 120.30
Sites, in units of the cell vectors:
Gd: 0.000 0.000 0.000
Gd: 0.000 0.000 0.344
Gd: 0.000 0.000 0.656
Co: 0.000 0.500 0.200
Co: 0.000 0.500 0.500
Co: 0.000 0.500 0.800
Co: 0.334 0.666 0.000
Co: 0.500 0.000 0.200
Co: 0.500 0.000 0.500
Co: 0.500 0.000 0.800
Co: 0.500 0.500 0.201
Co: 0.500 0.500 0.500
Co: 0.500 0.500 0.799
Co: 0.666 0.334 0.000
B: 0.333 0.667 0.352
B: 0.333 0.667 0.648
B: 0.667 0.333 0.352
B: 0.667 0.333 0.648

Record 10
Material: GdCo4B
Method: DFT, r²SCAN
State: optimized geometry

Summary:
SG: P6/mmm, No. 191
ρ, g/cm3: 8.98

abc: 5.047 5.047 6.766
angles: 90.00 90.00 120.00
Sites, in units of the cell vectors:
Gd: 0.000 0.000 0.000
Gd: 0.000 0.000 0.500
Co: 0.000 0.500 0.215
Co: 0.000 0.500 0.785
Co: 0.333 0.667 0.500
Co: 0.500 0.000 0.215
Co: 0.500 0.000 0.785
Co: 0.500 0.500 0.215
Co: 0.500 0.500 0.785
Co: 0.667 0.333 0.500
B: 0.333 0.667 0.000
B: 0.667 0.333 0.000

Record 11
Material: Co21Ge2B6
Method: DFT, r²SCAN
State: optimized geometry

Summary:
SG: Fm-3m, No. 225
ρ, g/cm3: 8.60

abc: 7.340 7.340 7.340
angles: 60.00 60.00 60.00
Sites, in units of the cell vectors:
Co: 0.000 0.000 0.000
Co: 0.000 0.000 0.339
Co: 0.000 0.000 0.661
Co: 0.000 0.339 0.000
Co: 0.000 0.339 0.661
Co: 0.000 0.661 0.000
Co: 0.000 0.661 0.339
Co: 0.141 0.620 0.620
Co: 0.339 0.000 0.000
Co: 0.339 0.000 0.661
Co: 0.339 0.661 0.000
Co: 0.380 0.380 0.380
Co: 0.380 0.380 0.859
Co: 0.380 0.859 0.380
Co: 0.620 0.141 0.620
Co: 0.620 0.620 0.141
Co: 0.620 0.620 0.620
Co: 0.661 0.000 0.000
Co: 0.661 0.000 0.339
Co: 0.661 0.339 0.000
Co: 0.859 0.380 0.380
Ge: 0.250 0.250 0.250
Ge: 0.750 0.750 0.750
B: 0.279 0.279 0.721
B: 0.279 0.721 0.279
B: 0.279 0.721 0.721
B: 0.721 0.279 0.279
B: 0.721 0.279 0.721
B: 0.721 0.721 0.279

Record 12
Material: HfCo3B2
Method: DFT, r²SCAN
State: optimized geometry

Summary:
SG: R-3m, No. 166
ρ, g/cm3: 10.54

abc: 5.645 5.645 5.645
angles: 94.45 94.45 94.45
Sites, in units of the cell vectors:
Hf: 0.000 0.000 0.000
Hf: 0.329 0.329 0.329
Hf: 0.671 0.671 0.671
Co: 0.000 0.000 0.500
Co: 0.000 0.500 0.000
Co: 0.195 0.694 0.694
Co: 0.306 0.306 0.805
Co: 0.306 0.805 0.306
Co: 0.500 0.000 0.000
Co: 0.694 0.195 0.694
Co: 0.694 0.694 0.195
Co: 0.805 0.306 0.306
B: 0.000 0.376 0.624
B: 0.000 0.624 0.376
B: 0.376 0.000 0.624
B: 0.376 0.624 0.000
B: 0.624 0.000 0.376
B: 0.624 0.376 0.000

One value per record, in order, for spin magnetization: 0.000; 0.260; 2.794; 0.000; 0.000; 0.000; 0.000; 2.591; 10.991; 0.291; 24.468; 0.000 μB per formula unit.
One value per record, in order, for energy of formation from the pure elements: -1830; -1402; -2049; -1732; -298; -552; -438; -545; -274; 195; -117; -517 meV/atom.
One value per record, in order, for energy: -1848.90; -721.12; -201.95; -526.41; -84.70; -77.85; -90.95; -357.16; -310.09; -205.02; -353.14; -307.95 eV per cell.